No. 1
DFT (PBE) results for a geometry-optimized Sr3Co3N5 structure.

Output
Total energy   -6.49 eV per atom
ρ   5.4 g/cm3
Space-group type   No. 2

a = 5.626 Å, b = 7.527 Å, c = 8.427 Å
α = 110.68°, β = 103.92°, γ = 99.66°
Fractional coordinates of all 22 atoms:
N1 0.241 0.494 0.088
N2 0.181 0.749 0.844
N3 0.935 0.097 0.809
N4 0.819 0.251 0.156
N5 0.065 0.903 0.191
N6 0.759 0.506 0.912
N7 0.732 0.727 0.554
N8 0.336 0.952 0.605
N9 0.664 0.048 0.395
N10 0.268 0.273 0.446
Co1 0.094 0.677 0.014
Co2 0.324 0.023 0.412
Co3 0.083 0.878 0.697
Co4 0.917 0.122 0.303
Co5 0.676 0.977 0.588
Co6 0.906 0.323 0.986
Sr1 0.302 0.314 0.771
Sr2 0.772 0.427 0.596
Sr3 0.666 0.855 0.885
Sr4 0.228 0.573 0.404
Sr5 0.334 0.145 0.115
Sr6 0.698 0.686 0.229

***

No. 2
DFT (PBE) results for a geometry-optimized SrCoN2 structure.

Output
Total energy   -6.67 eV per atom
ρ   5.0 g/cm3
Space-group type   No. 14

a = 6.051 Å, b = 8.046 Å, c = 5.340 Å
α = 90.00°, β = 116.87°, γ = 90.00°
Fractional coordinates of all 16 atoms:
Co1 0.084 0.133 0.099
Co2 0.084 0.367 0.599
Co3 0.916 0.867 0.901
Co4 0.916 0.633 0.401
Sr1 0.675 0.096 0.341
Sr2 0.325 0.904 0.659
Sr3 0.675 0.404 0.841
Sr4 0.325 0.596 0.159
N1 0.145 0.309 0.945
N2 0.248 0.567 0.607
N3 0.145 0.191 0.445
N4 0.752 0.067 0.893
N5 0.248 0.933 0.107
N6 0.855 0.691 0.055
N7 0.752 0.433 0.393
N8 0.855 0.809 0.555

***

No. 3
DFT (PBE) results for a geometry-optimized Sr3Co2N4 structure.

Output
Total energy   -6.15 eV per atom
Energy above the most stable polymorph in this dataset   24 meV per atom
ρ   5.4 g/cm3
Space-group type   No. 15

a = 7.068 Å, b = 8.637 Å, c = 5.559 Å
α = 90.00°, β = 93.42°, γ = 127.66°
Fractional coordinates of all 18 atoms:
Co1 0.580 0.417 0.073
Co2 0.580 0.163 0.573
Co3 0.420 0.583 0.927
Co4 0.420 0.837 0.427
N1 0.350 0.734 0.105
N2 0.251 0.314 0.030
N3 0.749 0.062 0.470
N4 0.749 0.686 0.970
N5 0.251 0.938 0.530
N6 0.650 0.383 0.395
N7 0.350 0.617 0.605
N8 0.650 0.266 0.895
Sr1 0.750 0.010 0.946
Sr2 0.250 0.990 0.054
Sr3 0.750 0.739 0.446
Sr4 0.000 0.407 0.250
Sr5 0.250 0.261 0.554
Sr6 0.000 0.593 0.750

***

No. 4
DFT (PBE) results for a geometry-optimized Ta4Co2N structure.

Output
Total energy   -10.56 eV per atom
ρ   14.6 g/cm3
Space-group type   No. 227

a = 8.194 Å, b = 8.194 Å, c = 8.194 Å
α = 60.00°, β = 60.00°, γ = 60.00°
Fractional coordinates of all 28 atoms:
Co1 0.830 0.509 0.830
Co2 0.420 0.420 0.741
Co3 0.509 0.830 0.830
Co4 0.420 0.420 0.420
Co5 0.420 0.741 0.420
Co6 0.830 0.830 0.830
Co7 0.741 0.420 0.420
Co8 0.830 0.830 0.509
Ta1 0.625 0.625 0.625
Ta2 0.187 0.813 0.187
Ta3 0.813 0.187 0.187
Ta4 0.187 0.187 0.813
Ta5 0.063 0.437 0.063
Ta6 0.813 0.813 0.187
Ta7 0.063 0.063 0.437
Ta8 0.437 0.437 0.063
Ta9 0.437 0.063 0.437
Ta10 0.063 0.437 0.437
Ta11 0.813 0.187 0.813
Ta12 0.625 0.625 0.125
Ta13 0.437 0.063 0.063
Ta14 0.187 0.813 0.813
Ta15 0.625 0.125 0.625
Ta16 0.125 0.625 0.625
N1 0.125 0.125 0.125
N2 0.625 0.125 0.125
N3 0.125 0.125 0.625
N4 0.125 0.625 0.125

***

No. 5
DFT (PBE) results for a geometry-optimized Co4Te3N2 structure.

Output
Total energy   -5.94 eV per atom
ρ   7.4 g/cm3
Space-group type   No. 62

a = 6.220 Å, b = 10.190 Å, c = 9.117 Å
α = 90.00°, β = 90.00°, γ = 90.00°
Fractional coordinates of all 36 atoms:
Te1 0.599 0.750 0.659
Te2 0.401 0.250 0.341
Te3 0.427 0.075 0.672
Te4 0.427 0.425 0.672
Te5 0.099 0.750 0.841
Te6 0.573 0.925 0.328
Te7 0.901 0.250 0.159
Te8 0.927 0.075 0.828
Te9 0.073 0.575 0.172
Te10 0.573 0.575 0.328
Te11 0.927 0.425 0.828
Te12 0.073 0.925 0.172
Co1 0.803 0.517 0.569
Co2 0.197 0.017 0.431
Co3 0.803 0.983 0.569
Co4 0.637 0.250 0.947
Co5 0.303 0.983 0.931
Co6 0.304 0.250 0.075
Co7 0.863 0.750 0.447
Co8 0.697 0.017 0.069
Co9 0.363 0.750 0.053
Co10 0.804 0.250 0.425
Co11 0.197 0.483 0.431
Co12 0.196 0.750 0.575
Co13 0.696 0.750 0.925
Co14 0.697 0.483 0.069
Co15 0.137 0.250 0.553
Co16 0.303 0.517 0.931
N1 0.461 0.384 0.012
N2 0.539 0.884 0.988
N3 0.539 0.616 0.988
N4 0.461 0.116 0.012
N5 0.039 0.884 0.512
N6 0.961 0.384 0.488
N7 0.961 0.116 0.488
N8 0.039 0.616 0.512

***

No. 6
DFT (PBE) results for a geometry-optimized Ti7Co3N10 structure.

Output
Total energy   -8.96 eV per atom
ρ   5.8 g/cm3
Space-group type   No. 44

a = 7.951 Å, b = 7.951 Å, c = 7.951 Å
α = 143.54°, β = 140.68°, γ = 54.70°
Fractional coordinates of all 20 atoms:
N1 0.656 0.071 0.924
N2 0.048 0.467 0.914
N3 0.853 0.268 0.924
N4 0.147 0.071 0.414
N5 0.738 0.648 0.385
N6 0.553 0.467 0.419
N7 0.447 0.866 0.914
N8 0.952 0.866 0.419
N9 0.262 0.648 0.910
N10 0.344 0.268 0.414
Ti1 0.902 0.408 0.506
Ti2 0.098 0.605 0.506
Ti3 0.801 0.804 0.003
Ti4 0.199 0.201 0.003
Ti5 0.500 0.997 0.497
Ti6 0.602 0.593 0.992
Ti7 0.398 0.390 0.992
Co1 0.295 0.800 0.505
Co2 0.000 0.059 0.059
Co3 0.705 0.209 0.505